P.
Li3Mn2P3O12 | PBE with a Hubbard U | relaxed

a b c (Å): 8.723 8.504 14.494
angles (deg): 57.26 90.00 90.00
Fractional coordinates of all 80 atoms:
Li (0.013, 0.718, 0.843)
Li (0.215, 0.002, 0.176)
Li (0.987, 0.282, 0.157)
Li (0.285, 0.002, 0.676)
Li (0.084, 0.605, 0.312)
Li (0.584, 0.395, 0.188)
Li (0.487, 0.718, 0.343)
Li (0.715, 0.998, 0.324)
Li (0.513, 0.282, 0.657)
Li (0.785, 0.998, 0.824)
Li (0.916, 0.395, 0.688)
Li (0.416, 0.605, 0.812)
Mn (0.964, 0.139, 0.608)
Mn (0.968, 0.348, 0.897)
Mn (0.532, 0.348, 0.397)
Mn (0.036, 0.861, 0.392)
Mn (0.468, 0.652, 0.603)
Mn (0.032, 0.652, 0.103)
Mn (0.464, 0.861, 0.892)
Mn (0.536, 0.139, 0.108)
P (0.611, 0.962, 0.652)
P (0.879, 0.263, 0.352)
P (0.250, 0.443, 0.010)
P (0.111, 0.038, 0.848)
P (0.250, 0.443, 0.510)
P (0.889, 0.962, 0.152)
P (0.621, 0.263, 0.852)
P (0.389, 0.038, 0.348)
P (0.750, 0.557, 0.990)
P (0.750, 0.557, 0.490)
P (0.379, 0.737, 0.148)
P (0.121, 0.737, 0.648)
O (0.320, 0.244, 0.063)
O (0.199, 0.710, 0.168)
O (0.272, 0.018, 0.810)
O (0.109, 0.162, 0.894)
O (0.180, 0.244, 0.563)
O (0.134, 0.476, 0.918)
O (0.166, 0.455, 0.101)
O (0.999, 0.134, 0.744)
O (0.594, 0.157, 0.977)
O (0.499, 0.866, 0.756)
O (0.501, 0.134, 0.244)
O (0.631, 0.403, 0.054)
O (0.772, 0.982, 0.690)
O (0.666, 0.545, 0.399)
O (0.699, 0.290, 0.332)
O (0.085, 0.868, 0.690)
O (0.469, 0.555, 0.213)
O (0.042, 0.841, 0.926)
O (0.458, 0.841, 0.426)
O (0.585, 0.132, 0.810)
O (0.969, 0.445, 0.287)
O (0.334, 0.455, 0.601)
O (0.834, 0.545, 0.899)
O (0.131, 0.597, 0.446)
O (0.391, 0.162, 0.394)
O (0.680, 0.756, 0.937)
O (0.728, 0.982, 0.190)
O (0.906, 0.157, 0.477)
O (0.001, 0.866, 0.256)
O (0.866, 0.524, 0.082)
O (0.031, 0.555, 0.713)
O (0.542, 0.159, 0.574)
O (0.415, 0.868, 0.190)
O (0.301, 0.710, 0.668)
O (0.369, 0.597, 0.946)
O (0.634, 0.524, 0.582)
O (0.891, 0.838, 0.106)
O (0.869, 0.403, 0.554)
O (0.228, 0.018, 0.310)
O (0.094, 0.843, 0.523)
O (0.531, 0.445, 0.787)
O (0.820, 0.756, 0.437)
O (0.958, 0.159, 0.074)
O (0.609, 0.838, 0.606)
O (0.915, 0.132, 0.310)
O (0.801, 0.290, 0.832)
O (0.366, 0.476, 0.418)
O (0.406, 0.843, 0.023)

---

Q.
Li3Mn2P3O12 | PBE with a Hubbard U | relaxed

a b c (Å): 9.828 9.828 9.754
angles (deg): 86.57 86.57 84.78
Fractional coordinates of all 80 atoms:
Li (0.014, 0.494, 0.770)
Li (0.380, 0.250, 0.202)
Li (0.214, 0.438, 0.537)
Li (0.235, 0.269, 0.821)
Li (0.701, 0.074, 0.016)
Li (0.991, 0.743, 0.619)
Li (0.257, 0.009, 0.381)
Li (0.926, 0.299, 0.984)
Li (0.731, 0.765, 0.179)
Li (0.562, 0.786, 0.463)
Li (0.750, 0.620, 0.798)
Li (0.506, 0.986, 0.230)
Mn (0.028, 0.731, 0.221)
Mn (0.765, 0.032, 0.717)
Mn (0.527, 0.473, 0.500)
Mn (0.743, 0.257, 0.500)
Mn (0.245, 0.755, 0.000)
Mn (0.469, 0.531, 0.000)
Mn (0.968, 0.235, 0.283)
Mn (0.269, 0.972, 0.779)
P (0.179, 0.055, 0.087)
P (0.053, 0.173, 0.602)
P (0.150, 0.439, 0.086)
P (0.446, 0.172, 0.559)
P (0.655, 0.324, 0.192)
P (0.342, 0.687, 0.296)
P (0.313, 0.658, 0.704)
P (0.676, 0.345, 0.808)
P (0.828, 0.554, 0.441)
P (0.561, 0.850, 0.914)
P (0.827, 0.947, 0.398)
P (0.945, 0.821, 0.913)
O (0.034, 0.125, 0.118)
O (0.120, 0.036, 0.663)
O (0.084, 0.170, 0.443)
O (0.212, 0.094, 0.931)
O (0.286, 0.092, 0.182)
O (0.100, 0.301, 0.661)
O (0.084, 0.375, 0.221)
O (0.404, 0.105, 0.434)
O (0.380, 0.129, 0.699)
O (0.092, 0.395, 0.953)
O (0.116, 0.599, 0.093)
O (0.306, 0.404, 0.086)
O (0.585, 0.202, 0.148)
O (0.405, 0.333, 0.547)
O (0.608, 0.139, 0.567)
O (0.187, 0.594, 0.661)
O (0.185, 0.698, 0.330)
O (0.693, 0.187, 0.840)
O (0.395, 0.549, 0.363)
O (0.622, 0.336, 0.352)
O (0.833, 0.108, 0.366)
O (0.173, 0.896, 0.116)
O (0.535, 0.399, 0.873)
O (0.377, 0.675, 0.133)
O (0.325, 0.623, 0.867)
O (0.601, 0.465, 0.127)
O (0.104, 0.827, 0.884)
O (0.892, 0.167, 0.634)
O (0.664, 0.378, 0.648)
O (0.451, 0.605, 0.637)
O (0.813, 0.307, 0.160)
O (0.302, 0.815, 0.670)
O (0.406, 0.813, 0.339)
O (0.861, 0.392, 0.433)
O (0.667, 0.595, 0.453)
O (0.798, 0.415, 0.852)
O (0.596, 0.694, 0.914)
O (0.401, 0.884, 0.907)
O (0.605, 0.908, 0.047)
O (0.871, 0.620, 0.301)
O (0.895, 0.596, 0.566)
O (0.625, 0.916, 0.779)
O (0.699, 0.900, 0.339)
O (0.908, 0.714, 0.818)
O (0.906, 0.788, 0.069)
O (0.830, 0.916, 0.557)
O (0.964, 0.880, 0.337)
O (0.875, 0.966, 0.882)

---

R.
Li3Mn2P3O12 | PBE with a Hubbard U | relaxed

a b c (Å): 9.741 9.741 9.896
angles (deg): 85.16 85.16 88.98
Fractional coordinates of all 80 atoms:
Li (0.210, 0.032, 0.414)
Li (0.494, 0.810, 0.523)
Li (0.968, 0.790, 0.586)
Li (0.190, 0.506, 0.477)
Li (0.472, 0.037, 0.257)
Li (0.963, 0.528, 0.743)
Li (0.255, 0.345, 0.746)
Li (0.655, 0.745, 0.254)
Li (0.805, 0.512, 0.003)
Li (0.000, 0.231, 0.913)
Li (0.488, 0.195, 0.997)
Li (0.769, 0.000, 0.087)
Mn (0.241, 0.967, 0.778)
Mn (0.974, 0.245, 0.277)
Mn (0.531, 0.469, 0.500)
Mn (0.743, 0.257, 0.500)
Mn (0.260, 0.740, 0.000)
Mn (0.033, 0.759, 0.222)
Mn (0.471, 0.529, 0.000)
Mn (0.755, 0.026, 0.723)
P (0.833, 0.953, 0.405)
P (0.347, 0.675, 0.301)
P (0.844, 0.558, 0.432)
P (0.325, 0.653, 0.699)
P (0.952, 0.822, 0.909)
P (0.559, 0.839, 0.935)
P (0.442, 0.156, 0.568)
P (0.047, 0.167, 0.595)
P (0.679, 0.337, 0.802)
P (0.161, 0.441, 0.065)
P (0.663, 0.321, 0.198)
P (0.178, 0.048, 0.091)
O (0.725, 0.904, 0.319)
O (0.980, 0.894, 0.373)
O (0.432, 0.793, 0.341)
O (0.187, 0.688, 0.336)
O (0.800, 0.916, 0.561)
O (0.898, 0.623, 0.289)
O (0.382, 0.534, 0.375)
O (0.312, 0.813, 0.664)
O (0.684, 0.593, 0.434)
O (0.891, 0.965, 0.868)
O (0.618, 0.897, 0.791)
O (0.918, 0.606, 0.547)
O (0.466, 0.618, 0.625)
O (0.621, 0.329, 0.355)
O (0.871, 0.397, 0.429)
O (0.398, 0.868, 0.930)
O (0.116, 0.832, 0.874)
O (0.207, 0.568, 0.659)
O (0.909, 0.703, 0.833)
O (0.608, 0.907, 0.054)
O (0.336, 0.619, 0.857)
O (0.168, 0.884, 0.126)
O (0.407, 0.316, 0.566)
O (0.084, 0.200, 0.439)
O (0.916, 0.800, 0.066)
O (0.593, 0.680, 0.945)
O (0.837, 0.117, 0.372)
O (0.671, 0.379, 0.645)
O (0.394, 0.082, 0.453)
O (0.096, 0.275, 0.681)
O (0.808, 0.401, 0.847)
O (0.603, 0.129, 0.571)
O (0.883, 0.163, 0.628)
O (0.132, 0.602, 0.070)
O (0.381, 0.664, 0.143)
O (0.540, 0.380, 0.875)
O (0.093, 0.392, 0.946)
O (0.106, 0.020, 0.627)
O (0.377, 0.102, 0.711)
O (0.320, 0.407, 0.055)
O (0.681, 0.176, 0.835)
O (0.620, 0.460, 0.125)
O (0.103, 0.382, 0.209)
O (0.200, 0.084, 0.934)
O (0.824, 0.319, 0.165)
O (0.599, 0.192, 0.153)
O (0.035, 0.109, 0.132)
O (0.297, 0.091, 0.167)

---

Most stable structure among those shown: P.